Entry from Materials Project: DyLuIr2 after structural relaxation (GGA-PBE).

Lattice parameters (Å, degrees): 4.798 4.798 4.798 60.00 60.00 60.00
Sites, in units of the cell vectors:
Dy (0.000, 0.000, 0.000)
Lu (0.500, 0.500, 0.500)
Ir (0.250, 0.250, 0.250)
Ir (0.750, 0.750, 0.750)

***

Entry from Materials Project: TlSn after structural relaxation (GGA-PBE).

Lattice parameters (Å, degrees): 3.348 3.348 5.291 90.00 90.00 90.00
Sites, in units of the cell vectors:
Tl (0.000, 0.000, 0.000)
Sn (0.500, 0.500, 0.500)

***

Entry from Materials Project: Ba2ErNbO6 after structural relaxation (GGA-PBE).

Lattice parameters (Å, degrees): 6.025 6.025 6.025 60.00 60.00 60.00
Sites, in units of the cell vectors:
Ba (0.250, 0.250, 0.250)
Ba (0.750, 0.750, 0.750)
Er (0.000, 0.000, 0.000)
Nb (0.500, 0.500, 0.500)
O (0.262, 0.262, 0.738)
O (0.262, 0.738, 0.262)
O (0.262, 0.738, 0.738)
O (0.738, 0.262, 0.262)
O (0.738, 0.262, 0.738)
O (0.738, 0.738, 0.262)

***

Calculated formation energy readings, ordered: -0.91, 0.05, -3.48 eV per atom
Uncorrected energy readings, ordered: -7.607, -3.139, -7.887 eV/atom